# 1
Computed, not measured: crystalline MgTi2 at its relaxed geometry at the PBE level of DFT.

The energy of formation comes out at 0.098 eV per atom. As for the calculated density: 3.54 g/cm³. Its symmetry is No. 63. As for the energy: -17.1 eV/f.u.

Cell lengths 8.0957, 8.0957, 4.7997 Å; angles 90.00, 90.00, 159.00 degrees
Fractional positions:
Ti 0.0996 0.9004 0.2500
Mg 0.2177 0.7823 0.7500
Ti 0.4501 0.5499 0.2500
Mg 0.7823 0.2177 0.2500
Ti 0.9004 0.0996 0.7500
Ti 0.5499 0.4501 0.7500

# 2
Computed, not measured: crystalline TiCrAgS4 at its relaxed geometry at the PBE level of DFT.

The energy of formation comes out at -1.002 eV per atom. As for the calculated density: 4.42 g/cm³. Its symmetry is No. 62. The value obtained for the energy relative to the lowest polymorph listed for this composition is 105 meV/atom. As for the energy: -41.9 eV/f.u.

Cell lengths 3.4819, 11.9875, 12.1045 Å; angles 90.00, 90.00, 90.00 degrees
Fractional positions:
Cr 0.7500 0.8959 0.9239
S 0.7500 0.9642 0.1173
S 0.7500 0.7293 0.4630
Ag 0.7500 0.6290 0.0902
S 0.7500 0.5573 0.8813
S 0.2500 0.9427 0.3813
Ti 0.2500 0.1568 0.7121
Cr 0.7500 0.3959 0.5761
Ag 0.2500 0.8710 0.5902
S 0.2500 0.5358 0.6173
S 0.2500 0.2707 0.5370
S 0.2500 0.7707 0.9630
S 0.2500 0.2013 0.2531
S 0.2500 0.0358 0.8827
Ag 0.7500 0.1290 0.4098
S 0.2500 0.7013 0.2469
S 0.7500 0.7987 0.7469
S 0.2500 0.4427 0.1187
Cr 0.2500 0.1041 0.0761
Ti 0.7500 0.3432 0.2121
Cr 0.2500 0.6041 0.4239
S 0.7500 0.2293 0.0370
Ti 0.2500 0.6568 0.7879
S 0.7500 0.4642 0.3827
Ti 0.7500 0.8432 0.2879
S 0.7500 0.0573 0.6187
S 0.7500 0.2987 0.7531
Ag 0.2500 0.3710 0.9098

# 3
Computed, not measured: crystalline Ce2Cu3Sb4 at its relaxed geometry at the PBE level of DFT.

The energy of formation comes out at -0.585 eV per atom. As for the calculated density: 7.78 g/cm³. Its symmetry is No. 99. As for the energy: -45.2 eV/f.u.

Cell lengths 4.4935, 4.4935, 10.1234 Å; angles 90.00, 90.00, 90.00 degrees
Fractional positions:
Sb 0.5000 0.0000 0.4859
Cu 0.5000 0.0000 0.0010
Sb 0.0000 0.0000 0.1515
Sb 0.5000 0.5000 0.8668
Cu 0.0000 0.5000 0.0010
Sb 0.0000 0.5000 0.4859
Ce 0.5000 0.5000 0.2398
Cu 0.5000 0.5000 0.6214
Ce 0.0000 0.0000 0.7468

# 4
Computed, not measured: crystalline Al4Cu9 at its relaxed geometry at the PBE level of DFT.

The energy of formation comes out at -0.208 eV per atom. As for the calculated density: 6.85 g/cm³. Its symmetry is No. 215. As for the energy: -54.6 eV/f.u.

Cell lengths 8.7015, 8.7015, 8.7015 Å; angles 90.00, 90.00, 90.00 degrees
Fractional positions:
Cu 0.3163 0.0302 0.3163
Al 0.8788 0.1212 0.8788
Al 0.4658 0.8098 0.1902
Cu 0.9698 0.6837 0.3163
Cu 0.0000 0.3557 0.0000
Cu 0.0000 0.0000 0.6443
Cu 0.5000 0.5000 0.1450
Cu 0.8307 0.1693 0.1693
Cu 0.6747 0.3253 0.6747
Cu 0.3939 0.3939 0.6061
Al 0.8098 0.8098 0.5342
Cu 0.0000 0.0000 0.3557
Cu 0.6837 0.0302 0.6837
Cu 0.1450 0.5000 0.5000
Cu 0.1693 0.8307 0.1693
Cu 0.3253 0.6747 0.6747
Al 0.1212 0.8788 0.8788
Cu 0.8550 0.5000 0.5000
Cu 0.0302 0.3163 0.3163
Cu 0.0302 0.6837 0.6837
Al 0.1902 0.5342 0.1902
Cu 0.6443 0.0000 0.0000
Cu 0.3163 0.6837 0.9698
Al 0.8098 0.5342 0.8098
Cu 0.3163 0.9698 0.6837
Cu 0.3163 0.3163 0.0302
Al 0.5342 0.8098 0.8098
Cu 0.6837 0.9698 0.3163
Al 0.4658 0.1902 0.8098
Cu 0.6061 0.3939 0.3939
Cu 0.0000 0.6443 0.0000
Al 0.8098 0.1902 0.4658
Cu 0.6747 0.6747 0.3253
Cu 0.5000 0.8550 0.5000
Cu 0.8307 0.8307 0.8307
Al 0.5342 0.1902 0.1902
Al 0.8788 0.8788 0.1212
Cu 0.6061 0.6061 0.6061
Cu 0.6837 0.6837 0.0302
Cu 0.3557 0.0000 0.0000
Al 0.1902 0.4658 0.8098
Al 0.8098 0.4658 0.1902
Cu 0.6837 0.3163 0.9698
Cu 0.1693 0.1693 0.8307
Al 0.1902 0.1902 0.5342
Cu 0.3939 0.6061 0.3939
Cu 0.3253 0.3253 0.3253
Al 0.1212 0.1212 0.1212
Cu 0.5000 0.5000 0.8550
Cu 0.9698 0.3163 0.6837
Al 0.1902 0.8098 0.4658
Cu 0.5000 0.1450 0.5000

# 5
Computed, not measured: crystalline Sm2Fe20Si2C at its relaxed geometry at the PBE level of DFT.

The energy of formation comes out at -0.105 eV per atom. As for the calculated density: 7.63 g/cm³. Its symmetry is No. 2. As for the energy: -201.5 eV/f.u.

Cell lengths 6.3685, 7.8201, 7.8406 Å; angles 100.70, 114.58, 65.67 degrees
Fractional positions:
Fe 0.1220 0.2472 0.7492
Sm 0.3760 0.7485 0.2541
Fe 0.5587 0.0796 0.3278
Fe 0.1415 0.9231 0.8225
Fe 0.1773 0.5833 0.8252
Fe 0.0000 0.5000 0.0000
Fe 0.4335 0.3240 0.0789
Fe 0.2552 0.6790 0.5779
Fe 0.4413 0.9204 0.6722
Fe 0.8585 0.0769 0.1775
Fe 0.8613 0.8381 0.9187
Fe 0.7249 0.5801 0.6665
Fe 0.1998 0.1648 0.4226
Fe 0.8002 0.8352 0.5774
Fe 0.8780 0.7528 0.2508
Si 0.0000 0.0000 0.5000
Fe 0.5665 0.6760 0.9211
Fe 0.2751 0.4199 0.3335
Si 0.5000 0.0000 0.0000
Fe 0.1387 0.1619 0.0813
C 0.5000 0.5000 0.0000
Sm 0.6240 0.2515 0.7459
Fe 0.8227 0.4167 0.1748
Fe 0.0000 0.5000 0.5000
Fe 0.7448 0.3210 0.4221

# 6
Computed, not measured: crystalline BaTbAgS3 at its relaxed geometry at the PBE level of DFT.

The energy of formation comes out at -1.861 eV per atom. As for the calculated density: 5.45 g/cm³. Its symmetry is No. 12. As for the energy: -31.4 eV/f.u.

Cell lengths 9.0846, 9.0846, 8.6337 Å; angles 77.29, 77.29, 26.05 degrees
Fractional positions:
S 0.6746 0.6746 0.1303
Tb 0.1639 0.1639 0.9183
Ba 0.1351 0.1351 0.4307
S 0.5000 0.5000 0.5000
Ba 0.8649 0.8649 0.5693
Tb 0.8361 0.8361 0.0817
S 0.3241 0.3241 0.3020
Ag 0.5163 0.5163 0.7914
S 0.6759 0.6759 0.6980
S 0.0000 0.0000 0.0000
Ag 0.4837 0.4837 0.2086
S 0.3254 0.3254 0.8697

Question: Which formula does entry 1 have?
Answer: MgTi2

Question: Look up the energy of formation of the fifth one.
Answer: -0.105 eV per atom